Bi12PbO20 (r2SCAN, relaxed); size of the total moment = 0.0 μB/cell; raw total energy = -919.91 eV for the cell shown; energy relative to the elements = -1.277 eV/atom
1.0
-5.130 5.130 5.130
5.130 -5.130 5.130
5.130 5.130 -5.130
Bi Pb O
12 1 20
Direct
0.145 0.307 0.810 Bi
0.162 0.855 0.665 Bi
0.190 0.497 0.335 Bi
0.307 0.810 0.145 Bi
0.335 0.190 0.497 Bi
0.497 0.335 0.190 Bi
0.503 0.693 0.838 Bi
0.665 0.162 0.855 Bi
0.693 0.838 0.503 Bi
0.810 0.145 0.307 Bi
0.838 0.503 0.693 Bi
0.855 0.665 0.162 Bi
0.000 0.000 0.000 Pb
0.000 0.000 0.234 O
0.000 0.000 0.628 O
0.000 0.234 0.000 O
0.000 0.628 0.000 O
0.114 0.757 0.377 O
0.234 0.000 0.000 O
0.243 0.357 0.620 O
0.263 0.643 0.886 O
0.357 0.620 0.243 O
0.372 0.372 0.372 O
0.377 0.114 0.757 O
0.380 0.737 0.623 O
0.620 0.243 0.357 O
0.623 0.380 0.737 O
0.628 0.000 0.000 O
0.643 0.886 0.263 O
0.737 0.623 0.380 O
0.757 0.377 0.114 O
0.766 0.766 0.766 O
0.886 0.263 0.643 O